A plane-wave DFT calculation with r²SCAN was carried out for a relaxed structure of WSe2.

abc: 3.3178 3.3178 36.4183
angles: 90.00 90.00 120.00
Closest atoms and distances in Å follow each position.
Space group P-3m1 (No. 164)
One atom of each set of equivalent atoms:
W 0.3333 0.6667 0.0939 (multiplicity 2)  6 Se 2.54
W 0.3333 0.6667 0.7195 (multiplicity 2)  6 Se 2.54
Se 0.3333 0.6667 0.2348 (multiplicity 2)  3 W 2.54
Se 0.3333 0.6667 0.3261 (multiplicity 2)  3 W 2.54
Se 0.3333 0.6667 0.8604 (multiplicity 2)  3 W 2.54
Se 0.3333 0.6667 0.9518 (multiplicity 2)  3 W 2.54

Results
The formation energy is -0.60 eV per atom. Its total magnetization is 0.000 μB/cell. The calculation puts the total energy at -27.26 eV per atom.